DFT (PBE-GGA) results for a relaxed KPH5C2S2N3O3 crystal.

The structure in CIF format:
```
data_KPH5C2S2N3O3
_chemical_formula_sum 'K2 P2 H10 C4 S4 N6 O6'
_symmetry_space_group_name_H-M 'P 1'
_symmetry_Int_Tables_number 1
_cell_length_a 6.7607
_cell_length_b 7.0283
_cell_length_c 10.5134
_cell_angle_alpha 89.99
_cell_angle_beta 101.68
_cell_angle_gamma 96.18
loop_
_symmetry_equiv_pos_as_xyz
'x,y,z'
loop_
_atom_site_label
_atom_site_type_symbol
_atom_site_fract_x
_atom_site_fract_y
_atom_site_fract_z
C1 C 0.3000 0.9871 0.1288
H1 H 0.0316 0.5888 0.9051
P1 P 0.9080 0.8029 0.7377
P2 P 0.0920 0.1971 0.2623
S1 S 0.6791 0.6660 0.6092
N1 N 0.0670 0.3060 0.1147
O1 O 0.9175 0.2950 0.6143
H2 H 0.1550 0.5885 0.3921
N2 N 0.8311 0.0096 0.7886
N3 N 0.1689 0.9904 0.2114
N4 N 0.3176 0.1449 0.0508
S2 S 0.3209 0.3340 0.3908
S3 S 0.8237 0.1509 0.3088
C2 C 0.7000 0.0129 0.8712
N5 N 0.9330 0.6940 0.8853
H3 H 0.1057 0.7563 0.4760
O2 O 0.1986 0.4000 0.9368
C3 C 0.8070 0.7091 0.9696
O3 O 0.3993 0.8493 0.1196
H4 H 0.8453 0.1274 0.7291
K1 K 0.6665 0.6408 0.2887
H5 H 0.5790 0.8574 0.0099
O4 O 0.0825 0.7050 0.3857
S4 S 0.1763 0.8491 0.6912
O5 O 0.6007 0.1507 0.8804
H6 H 0.8943 0.2437 0.5240
O6 O 0.8014 0.6000 0.0632
H7 H 0.1547 0.8726 0.2709
H8 H 0.4210 0.1426 0.9901
C4 C 0.1930 0.2909 0.0304
K2 K 0.3335 0.3592 0.7113
H9 H 0.9684 0.4112 0.0949
N6 N 0.6824 0.8551 0.9492
H10 H 0.8450 0.4115 0.6079
```

Summary:
Energy with MP2020 corrections in eV/atom: -6.216
Formation energy in eV/atom: -0.918
Symmetry: P-1
Energy in eV per formula unit: -102.6